Record 1
## CsCoCl3 (GGA-PBE)

Data for a relaxed structure of CsCoCl3.

- calculated volume (Å³/f.u.) = 139
- ρ (Mg/m³) = 3.57
- symmetry = P6_3/mmc

Unit cell a=7.3409 b=7.3409 c=5.9500 alpha=90.00 beta=90.00 gamma=120.00
Closest atoms and distances in Å follow each position.
Fractional coordinates of all 10 atoms:
Cs 0.3333 0.6667 0.2500  12 Cl 3.68-3.77
Cs 0.6667 0.3333 0.7500  12 Cl 3.68-3.77
Co 0.0000 0.0000 0.0000  6 Cl 2.44
Co 0.0000 0.0000 0.5000  6 Cl 2.44
Cl 0.1517 0.3034 0.7500  2 Co 2.44
Cl 0.1517 0.8483 0.7500  2 Co 2.44
Cl 0.3034 0.1517 0.2500  2 Co 2.44
Cl 0.6966 0.8483 0.7500  2 Co 2.44
Cl 0.8483 0.1517 0.2500  2 Co 2.44
Cl 0.8483 0.6966 0.2500  2 Co 2.44

Record 2
## CoCuH18N6Cl5 (GGA-PBE)

Data for a relaxed structure of CoCuH18N6Cl5.

- calculated volume (Å³/f.u.) = 347
- ρ (Mg/m³) = 1.92
- symmetry = Fd-3c

Unit cell a=15.7720 b=15.7720 c=15.7720 alpha=60.00 beta=60.00 gamma=60.00
Closest atoms and distances in Å follow each position.
Fractional coordinates of all 248 atoms:
Co 0.0000 0.0000 0.0000  6 N 1.98
Co 0.0000 0.0000 0.5000  6 N 1.98
Co 0.0000 0.5000 0.0000  6 N 1.98
Co 0.0000 0.5000 0.5000  6 N 1.98
Co 0.5000 0.0000 0.0000  6 N 1.98
Co 0.5000 0.0000 0.5000  6 N 1.98
Co 0.5000 0.5000 0.0000  6 N 1.98
Co 0.5000 0.5000 0.5000  6 N 1.98
Cu 0.2500 0.2500 0.2500  5 Cl 2.30-2.44
Cu 0.2500 0.2500 0.7500  5 Cl 2.30-2.44
Cu 0.2500 0.7500 0.2500  5 Cl 2.30-2.44
Cu 0.2500 0.7500 0.7500  5 Cl 2.30-2.44
Cu 0.7500 0.2500 0.2500  5 Cl 2.30-2.44
Cu 0.7500 0.2500 0.7500  5 Cl 2.30-2.44
Cu 0.7500 0.7500 0.2500  5 Cl 2.30-2.44
Cu 0.7500 0.7500 0.7500  5 Cl 2.30-2.44
H 0.0018 0.1837 0.9268  1 N 1.03
H 0.0018 0.3877 0.1837  1 N 1.03
H 0.0018 0.9268 0.3877  1 N 1.03
H 0.0224 0.1193 0.8132  1 N 1.03
H 0.0224 0.5451 0.1193  1 N 1.03
H 0.0224 0.8132 0.5451  1 N 1.03
H 0.0451 0.3132 0.5224  1 N 1.03
H 0.0451 0.5224 0.6193  1 N 1.03
H 0.0451 0.6193 0.3132  1 N 1.03
H 0.0546 0.1553 0.3474  1 N 1.03
H 0.0546 0.3474 0.9426  1 N 1.03
H 0.0546 0.9426 0.1553  1 N 1.03
H 0.0574 0.6526 0.8447  1 N 1.03
H 0.0574 0.8447 0.9454  1 N 1.03
H 0.0574 0.9454 0.6526  1 N 1.03
H 0.0732 0.6123 0.9982  1 N 1.03
H 0.0732 0.8163 0.6123  1 N 1.03
H 0.0732 0.9982 0.8163  1 N 1.03
H 0.1123 0.3163 0.5732  1 N 1.03
H 0.1123 0.4982 0.3163  1 N 1.03
H 0.1123 0.5732 0.4982  1 N 1.03
H 0.1193 0.0224 0.5451  1 N 1.03
H 0.1193 0.5451 0.8132  1 N 1.03
H 0.1193 0.8132 0.0224  1 N 1.03
H 0.1526 0.3447 0.4454  1 N 1.03
H 0.1526 0.4454 0.5574  1 N 1.03
H 0.1526 0.5574 0.3447  1 N 1.03
H 0.1553 0.0546 0.9426  1 N 1.03
H 0.1553 0.3474 0.0546  1 N 1.03
H 0.1553 0.9426 0.3474  1 N 1.03
H 0.1837 0.0018 0.3877  1 N 1.03
H 0.1837 0.3877 0.9268  1 N 1.03
H 0.1837 0.9268 0.0018  1 N 1.03
H 0.1868 0.4549 0.9776  1 N 1.03
H 0.1868 0.8807 0.4549  1 N 1.03
H 0.1868 0.9776 0.8807  1 N 1.03
H 0.3132 0.0451 0.6193  1 N 1.03
H 0.3132 0.5224 0.0451  1 N 1.03
H 0.3132 0.6193 0.5224  1 N 1.03
H 0.3163 0.1123 0.4982  1 N 1.03
H 0.3163 0.4982 0.5732  1 N 1.03
H 0.3163 0.5732 0.1123  1 N 1.03
H 0.3447 0.1526 0.5574  1 N 1.03
H 0.3447 0.4454 0.1526  1 N 1.03
H 0.3447 0.5574 0.4454  1 N 1.03
H 0.3474 0.0546 0.1553  1 N 1.03
H 0.3474 0.1553 0.9426  1 N 1.03
H 0.3474 0.9426 0.0546  1 N 1.03
H 0.3807 0.4776 0.6868  1 N 1.03
H 0.3807 0.6868 0.9549  1 N 1.03
H 0.3807 0.9549 0.4776  1 N 1.03
H 0.3877 0.0018 0.9268  1 N 1.03
H 0.3877 0.1837 0.0018  1 N 1.03
H 0.3877 0.9268 0.1837  1 N 1.03
H 0.4268 0.5018 0.8877  1 N 1.03
H 0.4268 0.6837 0.5018  1 N 1.03
H 0.4268 0.8877 0.6837  1 N 1.03
H 0.4426 0.5546 0.6553  1 N 1.03
H 0.4426 0.6553 0.8474  1 N 1.03
H 0.4426 0.8474 0.5546  1 N 1.03
H 0.4454 0.1526 0.3447  1 N 1.03
H 0.4454 0.3447 0.5574  1 N 1.03
H 0.4454 0.5574 0.1526  1 N 1.03
H 0.4549 0.1868 0.8807  1 N 1.03
H 0.4549 0.8807 0.9776  1 N 1.03
H 0.4549 0.9776 0.1868  1 N 1.03
H 0.4776 0.3807 0.9549  1 N 1.03
H 0.4776 0.6868 0.3807  1 N 1.03
H 0.4776 0.9549 0.6868  1 N 1.03
H 0.4982 0.1123 0.5732  1 N 1.03
H 0.4982 0.3163 0.1123  1 N 1.03
H 0.4982 0.5732 0.3163  1 N 1.03
H 0.5018 0.4268 0.6837  1 N 1.03
H 0.5018 0.6837 0.8877  1 N 1.03
H 0.5018 0.8877 0.4268  1 N 1.03
H 0.5224 0.0451 0.3132  1 N 1.03
H 0.5224 0.3132 0.6193  1 N 1.03
H 0.5224 0.6193 0.0451  1 N 1.03
H 0.5451 0.0224 0.8132  1 N 1.03
H 0.5451 0.1193 0.0224  1 N 1.03
H 0.5451 0.8132 0.1193  1 N 1.03
H 0.5546 0.4426 0.8474  1 N 1.03
H 0.5546 0.6553 0.4426  1 N 1.03
H 0.5546 0.8474 0.6553  1 N 1.03
H 0.5574 0.1526 0.4454  1 N 1.03
H 0.5574 0.3447 0.1526  1 N 1.03
H 0.5574 0.4454 0.3447  1 N 1.03
H 0.5732 0.1123 0.3163  1 N 1.03
H 0.5732 0.3163 0.4982  1 N 1.03
H 0.5732 0.4982 0.1123  1 N 1.03
H 0.6123 0.0732 0.8163  1 N 1.03
H 0.6123 0.8163 0.9982  1 N 1.03
H 0.6123 0.9982 0.0732  1 N 1.03
H 0.6193 0.0451 0.5224  1 N 1.03
H 0.6193 0.3132 0.0451  1 N 1.03
H 0.6193 0.5224 0.3132  1 N 1.03
H 0.6526 0.0574 0.9454  1 N 1.03
H 0.6526 0.8447 0.0574  1 N 1.03
H 0.6526 0.9454 0.8447  1 N 1.03
H 0.6553 0.4426 0.5546  1 N 1.03
H 0.6553 0.5546 0.8474  1 N 1.03
H 0.6553 0.8474 0.4426  1 N 1.03
H 0.6837 0.4268 0.8877  1 N 1.03
H 0.6837 0.5018 0.4268  1 N 1.03
H 0.6837 0.8877 0.5018  1 N 1.03
H 0.6868 0.3807 0.4776  1 N 1.03
H 0.6868 0.4776 0.9549  1 N 1.03
H 0.6868 0.9549 0.3807  1 N 1.03
H 0.8132 0.0224 0.1193  1 N 1.03
H 0.8132 0.1193 0.5451  1 N 1.03
H 0.8132 0.5451 0.0224  1 N 1.03
H 0.8163 0.0732 0.9982  1 N 1.03
H 0.8163 0.6123 0.0732  1 N 1.03
H 0.8163 0.9982 0.6123  1 N 1.03
H 0.8447 0.0574 0.6526  1 N 1.03
H 0.8447 0.6526 0.9454  1 N 1.03
H 0.8447 0.9454 0.0574  1 N 1.03
H 0.8474 0.4426 0.6553  1 N 1.03
H 0.8474 0.5546 0.4426  1 N 1.03
H 0.8474 0.6553 0.5546  1 N 1.03
H 0.8807 0.1868 0.9776  1 N 1.03
H 0.8807 0.4549 0.1868  1 N 1.03
H 0.8807 0.9776 0.4549  1 N 1.03
H 0.8877 0.4268 0.5018  1 N 1.03
H 0.8877 0.5018 0.6837  1 N 1.03
H 0.8877 0.6837 0.4268  1 N 1.03
H 0.9268 0.0018 0.1837  1 N 1.03
H 0.9268 0.1837 0.3877  1 N 1.03
H 0.9268 0.3877 0.0018  1 N 1.03
H 0.9426 0.0546 0.3474  1 N 1.03
H 0.9426 0.1553 0.0546  1 N 1.03
H 0.9426 0.3474 0.1553  1 N 1.03
H 0.9454 0.0574 0.8447  1 N 1.03
H 0.9454 0.6526 0.0574  1 N 1.03
H 0.9454 0.8447 0.6526  1 N 1.03
H 0.9549 0.3807 0.6868  1 N 1.03
H 0.9549 0.4776 0.3807  1 N 1.03
H 0.9549 0.6868 0.4776  1 N 1.03
H 0.9776 0.1868 0.4549  1 N 1.03
H 0.9776 0.4549 0.8807  1 N 1.03
H 0.9776 0.8807 0.1868  1 N 1.03
H 0.9982 0.0732 0.6123  1 N 1.03
H 0.9982 0.6123 0.8163  1 N 1.03
H 0.9982 0.8163 0.0732  1 N 1.03
N 0.0100 0.0489 0.8537  3 H 1.03
N 0.0100 0.5875 0.0489  3 H 1.03
N 0.0100 0.8537 0.5875  3 H 1.03
N 0.0489 0.0100 0.5875  3 H 1.03
N 0.0489 0.5875 0.8537  3 H 1.03
N 0.0489 0.8537 0.0100  3 H 1.03
N 0.0875 0.3537 0.5100  3 H 1.03
N 0.0875 0.5100 0.5489  3 H 1.03
N 0.0875 0.5489 0.3537  3 H 1.03
N 0.1463 0.4125 0.9900  3 H 1.03
N 0.1463 0.9511 0.4125  3 H 1.03
N 0.1463 0.9900 0.9511  3 H 1.03
N 0.3537 0.0875 0.5489  3 H 1.03
N 0.3537 0.5100 0.0875  3 H 1.03
N 0.3537 0.5489 0.5100  3 H 1.03
N 0.4125 0.1463 0.9511  3 H 1.03
N 0.4125 0.9511 0.9900  3 H 1.03
N 0.4125 0.9900 0.1463  3 H 1.03
N 0.4511 0.4900 0.6463  3 H 1.03
N 0.4511 0.6463 0.9125  3 H 1.03
N 0.4511 0.9125 0.4900  3 H 1.03
N 0.4900 0.4511 0.9125  3 H 1.03
N 0.4900 0.6463 0.4511  3 H 1.03
N 0.4900 0.9125 0.6463  3 H 1.03
N 0.5100 0.0875 0.3537  3 H 1.03
N 0.5100 0.3537 0.5489  3 H 1.03
N 0.5100 0.5489 0.0875  3 H 1.03
N 0.5489 0.0875 0.5100  3 H 1.03
N 0.5489 0.3537 0.0875  3 H 1.03
N 0.5489 0.5100 0.3537  3 H 1.03
N 0.5875 0.0100 0.8537  3 H 1.03
N 0.5875 0.0489 0.0100  3 H 1.03
N 0.5875 0.8537 0.0489  3 H 1.03
N 0.6463 0.4511 0.4900  3 H 1.03
N 0.6463 0.4900 0.9125  3 H 1.03
N 0.6463 0.9125 0.4511  3 H 1.03
N 0.8537 0.0100 0.0489  3 H 1.03
N 0.8537 0.0489 0.5875  3 H 1.03
N 0.8537 0.5875 0.0100  3 H 1.03
N 0.9125 0.4511 0.6463  3 H 1.03
N 0.9125 0.4900 0.4511  3 H 1.03
N 0.9125 0.6463 0.4900  3 H 1.03
N 0.9511 0.1463 0.9900  3 H 1.03
N 0.9511 0.4125 0.1463  3 H 1.03
N 0.9511 0.9900 0.4125  3 H 1.03
N 0.9900 0.1463 0.4125  3 H 1.03
N 0.9900 0.4125 0.9511  3 H 1.03
N 0.9900 0.9511 0.1463  3 H 1.03
Cl 0.0714 0.8095 0.8095  1 Cu 2.30, 3 H 2.35
Cl 0.0954 0.2500 0.7500  4 H 2.36-2.40, 1 Cu 2.44
Cl 0.0954 0.4046 0.2500  4 H 2.36-2.40, 1 Cu 2.44
Cl 0.0954 0.7500 0.4046  4 H 2.36-2.40, 1 Cu 2.44
Cl 0.1905 0.1905 0.1905  1 Cu 2.30, 3 H 2.35
Cl 0.1905 0.1905 0.9286  1 Cu 2.30, 3 H 2.35
Cl 0.1905 0.9286 0.1905  1 Cu 2.30, 3 H 2.35
Cl 0.2500 0.0954 0.4046  4 H 2.36-2.40, 1 Cu 2.44
Cl 0.2500 0.4046 0.7500  4 H 2.36-2.40, 1 Cu 2.44
Cl 0.2500 0.5954 0.9046  4 H 2.36-2.40, 1 Cu 2.44
Cl 0.2500 0.7500 0.0954  4 H 2.36-2.40, 1 Cu 2.44
Cl 0.2500 0.7500 0.5954  4 H 2.36-2.40, 1 Cu 2.44
Cl 0.2500 0.9046 0.7500  4 H 2.36-2.40, 1 Cu 2.44
Cl 0.3095 0.3095 0.3095  1 Cu 2.30, 3 H 2.35
Cl 0.3095 0.3095 0.5714  1 Cu 2.30, 3 H 2.35
Cl 0.3095 0.5714 0.3095  1 Cu 2.30, 3 H 2.35
Cl 0.4046 0.0954 0.7500  4 H 2.36-2.40, 1 Cu 2.44
Cl 0.4046 0.2500 0.0954  4 H 2.36-2.40, 1 Cu 2.44
Cl 0.4046 0.7500 0.2500  4 H 2.36-2.40, 1 Cu 2.44
Cl 0.4286 0.6905 0.6905  1 Cu 2.30, 3 H 2.35
Cl 0.5714 0.3095 0.3095  1 Cu 2.30, 3 H 2.35
Cl 0.5954 0.2500 0.7500  4 H 2.36-2.40, 1 Cu 2.44
Cl 0.5954 0.7500 0.9046  4 H 2.36-2.40, 1 Cu 2.44
Cl 0.5954 0.9046 0.2500  4 H 2.36-2.40, 1 Cu 2.44
Cl 0.6905 0.4286 0.6905  1 Cu 2.30, 3 H 2.35
Cl 0.6905 0.6905 0.4286  1 Cu 2.30, 3 H 2.35
Cl 0.6905 0.6905 0.6905  1 Cu 2.30, 3 H 2.35
Cl 0.7500 0.0954 0.2500  4 H 2.36-2.40, 1 Cu 2.44
Cl 0.7500 0.2500 0.4046  4 H 2.36-2.40, 1 Cu 2.44
Cl 0.7500 0.2500 0.9046  4 H 2.36-2.40, 1 Cu 2.44
Cl 0.7500 0.4046 0.0954  4 H 2.36-2.40, 1 Cu 2.44
Cl 0.7500 0.5954 0.2500  4 H 2.36-2.40, 1 Cu 2.44
Cl 0.7500 0.9046 0.5954  4 H 2.36-2.40, 1 Cu 2.44
Cl 0.8095 0.0714 0.8095  1 Cu 2.30, 3 H 2.35
Cl 0.8095 0.8095 0.0714  1 Cu 2.30, 3 H 2.35
Cl 0.8095 0.8095 0.8095  1 Cu 2.30, 3 H 2.35
Cl 0.9046 0.2500 0.5954  4 H 2.36-2.40, 1 Cu 2.44
Cl 0.9046 0.5954 0.7500  4 H 2.36-2.40, 1 Cu 2.44
Cl 0.9046 0.7500 0.2500  4 H 2.36-2.40, 1 Cu 2.44
Cl 0.9286 0.1905 0.1905  1 Cu 2.30, 3 H 2.35

Record 3
## Gd6CoCl10 (GGA-PBE)

Data for a relaxed structure of Gd6CoCl10.

- calculated volume (Å³/f.u.) = 499
- ρ (Mg/m³) = 4.51
- symmetry = P-1

Unit cell a=7.2279 b=8.8520 c=8.9770 alpha=110.00 beta=107.50 gamma=96.54
Closest atoms and distances in Å follow each position.
Fractional coordinates of all 17 atoms:
Gd 0.0197 0.3917 0.1869  1 Co 2.70, 5 Cl 2.71-3.00
Gd 0.1311 0.2605 0.5501  1 Co 2.54, 3 Cl 2.80-2.83
Gd 0.3751 0.6988 0.6508  5 Cl 2.70-2.96, 1 Co 2.71
Gd 0.6249 0.3012 0.3492  5 Cl 2.70-2.96, 1 Co 2.71
Gd 0.8689 0.7395 0.4499  1 Co 2.54, 3 Cl 2.80-2.83
Gd 0.9803 0.6083 0.8131  1 Co 2.70, 5 Cl 2.71-3.00
Co 0.0000 0.5000 0.5000  6 Gd 2.54-2.71
Cl 0.0927 0.3382 0.8707  3 Gd 2.77-2.93
Cl 0.2000 0.1450 0.2406  3 Gd 2.77-2.93
Cl 0.2454 0.9565 0.5809  3 Gd 2.75-2.98
Cl 0.3662 0.7839 0.9671  2 Gd 2.70-2.71
Cl 0.4508 0.5751 0.3293  4 Gd 2.89-3.00
Cl 0.5492 0.4249 0.6707  4 Gd 2.89-3.00
Cl 0.6338 0.2161 0.0329  2 Gd 2.70-2.71
Cl 0.7546 0.0435 0.4191  3 Gd 2.75-2.98
Cl 0.8000 0.8550 0.7594  3 Gd 2.77-2.93
Cl 0.9073 0.6618 0.1293  3 Gd 2.77-2.93

Record 4
## CoH6Cl2 (GGA-PBE)

Data for a relaxed structure of CoH6Cl2.

- calculated volume (Å³/f.u.) = 134
- ρ (Mg/m³) = 1.69
- symmetry = C2/m

Unit cell a=5.1119 b=5.1119 c=5.3803 alpha=99.28 beta=99.28 gamma=75.95
Closest atoms and distances in Å follow each position.
Fractional coordinates of all 9 atoms:
Co 0.0000 0.0000 0.0000  4 H 1.64
H 0.0568 0.1875 0.2730  1 H 0.82
H 0.1875 0.0568 0.2730  1 H 0.82
H 0.4529 0.4529 0.4811  1 H 0.74
H 0.5471 0.5471 0.5189  1 H 0.74
H 0.8125 0.9432 0.7270  1 H 0.82
H 0.9432 0.8125 0.7270  1 H 0.82
Cl 0.2141 0.2141 0.8218  1 Co 2.14
Cl 0.7859 0.7859 0.1782  1 Co 2.14

Record 5
## CoH6N2Cl2 (GGA-PBE)

Data for a relaxed structure of CoH6N2Cl2.

- excess energy over the best structure of this formula in the dataset (eV per formula unit) = 0.000
- calculated volume (Å³/f.u.) = 121
- ρ (Mg/m³) = 2.25
- symmetry = Imma

Unit cell a=6.8093 b=6.8093 c=6.8093 alpha=112.74 beta=107.77 gamma=107.95
Closest atoms and distances in Å follow each position.
Fractional coordinates of all 22 atoms:
Co 0.4933 0.2433 0.2500  2 N 2.09
Co 0.5067 0.7567 0.7500  2 N 2.09
H 0.0855 0.6509 0.4347  1 N 1.02
H 0.1151 0.0620 0.8363  1 N 1.03
H 0.1151 0.2788 0.0531  1 N 1.03
H 0.2743 0.7212 0.3363  1 N 1.03
H 0.2743 0.9380 0.5531  1 N 1.03
H 0.2838 0.3491 0.9347  1 N 1.02
H 0.7162 0.6509 0.0653  1 N 1.02
H 0.7257 0.0620 0.4469  1 N 1.03
H 0.7257 0.2788 0.6637  1 N 1.03
H 0.8849 0.7212 0.9469  1 N 1.03
H 0.8849 0.9380 0.1637  1 N 1.03
H 0.9145 0.3491 0.5653  1 N 1.02
N 0.2239 0.2340 0.9899  3 H 1.02-1.03
N 0.2559 0.7660 0.4899  3 H 1.02-1.03
N 0.7441 0.2340 0.5101  3 H 1.02-1.03
N 0.7761 0.7660 0.0101  3 H 1.02-1.03
Cl 0.2898 0.2975 0.5077  2 Co 2.52-2.54, 4 H 2.56-2.81
Cl 0.2898 0.7821 0.9923  2 Co 2.52-2.54, 4 H 2.56-2.81
Cl 0.7102 0.2179 0.0077  2 Co 2.52-2.54, 4 H 2.56-2.81
Cl 0.7102 0.7025 0.4923  2 Co 2.52-2.54, 4 H 2.56-2.81

Record 6
## CoH6N2Cl2 (GGA-PBE)

Data for a relaxed structure of CoH6N2Cl2.

- excess energy over the best structure of this formula in the dataset (eV per formula unit) = 0.082
- calculated volume (Å³/f.u.) = 136
- ρ (Mg/m³) = 2.00
- symmetry = C2

Unit cell a=5.9538 b=5.9538 c=3.8372 alpha=91.90 beta=91.90 gamma=91.84
Closest atoms and distances in Å follow each position.
Fractional coordinates of all 11 atoms:
Co 0.0000 0.0000 0.0000  2 N 2.08
H 0.1902 0.3853 0.2100  1 N 1.03
H 0.2537 0.3476 0.8025  1 N 1.02
H 0.3929 0.2144 0.1080  1 N 1.03
H 0.6147 0.8098 0.7900  1 N 1.03
H 0.6524 0.7463 0.1975  1 N 1.02
H 0.7856 0.6071 0.8920  1 N 1.03
N 0.2369 0.2658 0.0299  3 H 1.02-1.03
N 0.7342 0.7631 0.9701  3 H 1.02-1.03
Cl 0.1905 0.8095 0.5000  2 Co 2.52, 2 H 2.73
Cl 0.8037 0.1963 0.5000  2 Co 2.55, 4 H 2.81-2.84

Table of total energy (eV per formula unit), in record order: -19.5; -147.5; -143.1; -31.7; -53.0; -52.9